DFT (GGA-PBE) results for NaSbO3 after structural relaxation.

- Total magnetic moment: 0.00 Bohr magnetons per cell
- Total DFT energy (no corrections): -5.652 eV/atom

a = 7.3439 Å, b = 7.3439 Å, c = 7.3439 Å
α = 60.00°, β = 60.00°, γ = 60.00°
With the nearest neighbours (Å) after each atom.
Element x y z (fractional)
Na 0.1250 0.6250 0.6250  6 O 2.56
Na 0.6250 0.1250 0.6250  6 O 2.56
Na 0.6250 0.6250 0.1250  6 O 2.56
Na 0.6250 0.6250 0.6250  6 O 2.56
Sb 0.6250 0.1250 0.1250  6 O 2.01
Sb 0.1250 0.6250 0.1250  6 O 2.01
Sb 0.1250 0.1250 0.6250  6 O 2.01
Sb 0.1250 0.1250 0.1250  6 O 2.01
O 0.7971 0.7971 0.2029  2 Sb 2.01
O 0.2029 0.2029 0.7971  2 Sb 2.01
O 0.7971 0.2029 0.7971  2 Sb 2.01
O 0.2029 0.7971 0.2029  2 Sb 2.01
O 0.2029 0.7971 0.7971  2 Sb 2.01
O 0.7971 0.2029 0.2029  2 Sb 2.01
O 0.4529 0.4529 0.0471  2 Sb 2.01
O 0.0471 0.0471 0.4529  2 Sb 2.01
O 0.4529 0.0471 0.4529  2 Sb 2.01
O 0.0471 0.4529 0.0471  2 Sb 2.01
O 0.0471 0.4529 0.4529  2 Sb 2.01
O 0.4529 0.0471 0.0471  2 Sb 2.01



DFT (GGA-PBE) results for Na8SbO3 after structural relaxation.

- Total magnetic moment: 1.00 Bohr magnetons per cell
- Total DFT energy (no corrections): -3.219 eV/atom

a = 6.1499 Å, b = 6.1499 Å, c = 6.1499 Å
α = 90.00°, β = 90.00°, γ = 90.00°
With the nearest neighbours (Å) after each atom.
Element x y z (fractional)
Na 0.2701 0.2701 0.2701  3 O 2.60, 3 Na 2.83, 1 Sb 2.88
Na 0.7299 0.7299 0.2701  3 O 2.60, 3 Na 2.83, 1 Sb 2.88
Na 0.7299 0.2701 0.7299  3 O 2.60, 3 Na 2.83, 1 Sb 2.88
Na 0.2701 0.7299 0.7299  3 O 2.60, 3 Na 2.83, 1 Sb 2.88
Na 0.2701 0.2701 0.7299  3 O 2.60, 3 Na 2.83, 1 Sb 2.88
Na 0.7299 0.7299 0.7299  3 O 2.60, 3 Na 2.83, 1 Sb 2.88
Na 0.7299 0.2701 0.2701  3 O 2.60, 3 Na 2.83, 1 Sb 2.88
Na 0.2701 0.7299 0.2701  3 O 2.60, 3 Na 2.83, 1 Sb 2.88
Sb 0.0000 0.0000 0.0000  8 Na 2.88
O 0.0000 0.5000 0.5000  8 Na 2.60
O 0.5000 0.5000 0.0000  8 Na 2.60
O 0.5000 0.0000 0.5000  8 Na 2.60



DFT (GGA-PBE) results for NaSm3Ti2Sb2O14 after structural relaxation.

- Total magnetic moment: 0.00 Bohr magnetons per cell
- Total DFT energy (no corrections): -7.624 eV/atom

a = 7.3326 Å, b = 7.3326 Å, c = 7.2954 Å
α = 60.78°, β = 60.78°, γ = 61.00°
With the nearest neighbours (Å) after each atom.
Element x y z (fractional)
Na 0.0000 0.0000 0.0000  2 O 2.30
Sm 0.0000 0.0000 0.5000  4 O 2.24-2.51
Sm 0.5000 0.0000 0.0000  2 O 2.24
Sm 0.0000 0.5000 0.0000  2 O 2.24
Ti 0.5000 0.5000 0.5000  6 O 1.96-1.99
Ti 0.5000 0.5000 0.0000  6 O 1.98-1.99
Sb 0.0000 0.5000 0.5000  6 O 1.99-2.03
Sb 0.5000 0.0000 0.5000  6 O 1.99-2.03
O 0.5706 0.5706 0.1822  2 Ti 1.96-1.98
O 0.1726 0.1726 0.5709  2 Sb 2.03
O 0.1763 0.5770 0.5765  1 Ti 1.99, 1 Sb 2.01
O 0.5616 0.1798 0.1787  1 Sb 1.99, 1 Ti 1.99
O 0.1798 0.5616 0.1787  1 Sb 1.99, 1 Ti 1.99
O 0.5770 0.1763 0.5765  1 Ti 1.99, 1 Sb 2.01
O 0.4294 0.4294 0.8178  2 Ti 1.96-1.98
O 0.8274 0.8274 0.4291  2 Sb 2.03
O 0.8237 0.4230 0.4235  1 Ti 1.99, 1 Sb 2.01
O 0.4384 0.8202 0.8213  1 Sb 1.99, 1 Ti 1.99
O 0.8202 0.4384 0.8213  1 Sb 1.99, 1 Ti 1.99
O 0.4230 0.8237 0.4235  1 Ti 1.99, 1 Sb 2.01
O 0.8700 0.8700 0.8730  3 Sm 2.24, 1 Na 2.30
O 0.1300 0.1300 0.1270  3 Sm 2.24, 1 Na 2.30



DFT (GGA-PBE) results for NaSm3Ti2Sb2O14 after structural relaxation.

- Total magnetic moment: 0.00 Bohr magnetons per cell
- Total DFT energy (no corrections): -7.628 eV/atom

a = 7.3479 Å, b = 7.3869 Å, c = 12.7296 Å
α = 54.89°, β = 90.00°, γ = 90.00°
With the nearest neighbours (Å) after each atom.
Element x y z (fractional)
Na 0.0000 0.0000 0.0000  2 O 2.31
Na 0.0000 0.0000 0.5000  2 O 2.31
Sm 0.2278 0.5000 0.7500  4 O 2.24-2.44
Sm 0.2430 0.0000 0.7500  4 O 2.24-2.51
Sm 0.7722 0.5000 0.2500  4 O 2.24-2.44
Sm 0.5000 0.0000 0.5000  2 O 2.24
Sm 0.7570 0.0000 0.2500  4 O 2.24-2.51
Sm 0.5000 0.0000 0.0000  2 O 2.24
Ti 0.2629 0.5000 0.2500  6 O 1.94-2.02
Ti 0.5000 0.5000 0.0000  6 O 1.96-2.00
Ti 0.7371 0.5000 0.7500  6 O 1.94-2.02
Ti 0.5000 0.5000 0.5000  6 O 1.96-2.00
Sb 0.0000 0.5000 0.5000  6 O 1.99-2.03
Sb 0.7449 0.0000 0.7500  6 O 1.99-2.02
Sb 0.0000 0.5000 0.0000  6 O 1.99-2.03
Sb 0.2551 0.0000 0.2500  6 O 1.99-2.02
O 0.0529 0.5567 0.1317  1 Sb 1.99, 1 Ti 2.02
O 0.7443 0.1307 0.3710  3 Sm 2.24, 1 Na 2.31
O 0.2690 0.1795 0.3209  1 Sb 1.99, 1 Ti 1.99
O 0.0469 0.1714 0.1283  2 Sb 2.02-2.03
O 0.0469 0.8286 0.3717  2 Sb 2.02-2.03
O 0.9471 0.5567 0.6317  1 Sb 1.99, 1 Ti 2.02
O 0.5530 0.5733 0.6220  2 Ti 1.94-1.96
O 0.7498 0.5767 0.4231  1 Ti 2.00, 1 Sb 2.01
O 0.2557 0.1307 0.8710  3 Sm 2.24, 1 Na 2.31
O 0.2502 0.4233 0.5769  1 Ti 2.00, 1 Sb 2.01
O 0.7310 0.1795 0.8209  1 Sb 1.99, 1 Ti 1.99
O 0.9531 0.1714 0.6283  2 Sb 2.02-2.03
O 0.0529 0.4433 0.3683  1 Sb 1.99, 1 Ti 2.02
O 0.5449 0.1768 0.6227  1 Ti 1.99, 1 Sb 2.01
O 0.5449 0.8232 0.8773  1 Ti 1.99, 1 Sb 2.01
O 0.9531 0.8286 0.8717  2 Sb 2.02-2.03
O 0.4470 0.5733 0.1220  2 Ti 1.94-1.96
O 0.7310 0.8205 0.6791  1 Sb 1.99, 1 Ti 1.99
O 0.2557 0.8693 0.6290  3 Sm 2.24, 1 Na 2.31
O 0.7498 0.4233 0.0769  1 Ti 2.00, 1 Sb 2.01
O 0.2502 0.5767 0.9231  1 Ti 2.00, 1 Sb 2.01
O 0.9471 0.4433 0.8683  1 Sb 1.99, 1 Ti 2.02
O 0.5530 0.4267 0.8780  2 Ti 1.94-1.96
O 0.4551 0.1768 0.1227  1 Ti 1.99, 1 Sb 2.01
O 0.4551 0.8232 0.3773  1 Ti 1.99, 1 Sb 2.01
O 0.2690 0.8205 0.1791  1 Sb 1.99, 1 Ti 1.99
O 0.7443 0.8693 0.1290  3 Sm 2.24, 1 Na 2.31
O 0.4470 0.4267 0.3780  2 Ti 1.94-1.96



Q: Among the records above, which one has the highest total DFT energy (no corrections)?
A: Na8SbO3



Q: What is the total magnetic moment in the first record?
A: 0.00 Bohr magnetons per cell



Q: What is the total magnetic moment in the second record?
A: 1.00 Bohr magnetons per cell



Q: The lowest total DFT energy (no corrections) belongs to which entry?
A: number 4